[1]
12
Lattice="4.657 0.000 0.000 -2.329 4.033 0.000 0.000 0.000 7.920" Properties=species:S:1:pos:R:3 comment="Fe2W | Materials Project | meta-GGA r2SCAN | optimized geometry" delta_e_f_ev_per_atom=0.199 pbc="T T T"
Fe 0.000 0.000 0.000
Fe 0.000 0.000 3.960
Fe 0.000 1.374 1.980
Fe -1.139 3.346 1.980
Fe 1.190 0.687 5.940
Fe 1.139 3.346 1.980
Fe 3.467 0.687 5.940
Fe 2.329 2.659 5.940
W 0.000 2.689 4.513
W 0.000 2.689 7.367
W 2.329 1.344 0.553
W 2.329 1.344 3.407



[2]
120
Lattice="-6.382 6.382 22.687 6.382 -6.382 22.687 6.382 6.382 -22.687" Properties=species:S:1:pos:R:3 comment="Ho5IrBr9 | Materials Project | meta-GGA r2SCAN | optimized geometry" delta_e_f_ev_per_atom=-1.935 pbc="T T T"
Ho 4.449 -2.557 9.827
Ho 6.969 5.477 -18.388
Ho 5.748 1.258 -1.516
Ho 4.449 3.825 -9.827
Ho 9.895 0.179 4.362
Ho 5.804 -4.995 24.459
Ho 3.012 0.321 6.981
Ho -0.665 1.090 7.225
Ho 2.101 2.527 4.118
Ho 6.969 -0.906 18.388
Ho 8.668 2.605 7.045
Ho 7.016 5.124 -1.516
Ho 3.012 6.703 -6.981
Ho 4.281 -2.527 26.805
Ho 1.804 2.612 9.571
Ho 3.512 0.179 18.324
Ho 5.718 1.090 15.461
Ho 0.579 4.995 1.773
Ho 4.097 3.777 7.045
Ho 8.186 2.612 13.116
Ho -1.804 3.770 9.571
Ho 2.286 2.605 15.642
Ho 5.804 1.388 20.914
Ho 0.665 5.292 7.225
Ho 2.870 6.203 4.362
Ho 4.579 3.770 13.116
Ho 2.101 8.909 -4.118
Ho 3.370 -0.321 29.668
Ho -0.634 1.258 24.203
Ho -2.286 3.777 15.642
Ho -0.586 7.288 4.299
Ho 4.281 3.856 18.568
Ho 7.047 5.292 15.461
Ho 3.370 6.061 15.706
Ho 0.579 11.377 -1.773
Ho -3.512 6.203 18.324
Ho 1.933 2.557 32.514
Ho 0.634 5.124 24.203
Ho -0.586 0.906 41.075
Ho 1.933 8.939 12.859
Ir -0.518 1.552 4.456
Ir 1.639 2.673 6.887
Ir -1.639 3.710 6.887
Ir 0.518 4.831 4.456
Ir 5.864 1.552 18.231
Ir 8.022 2.673 15.799
Ir 4.743 3.710 15.799
Ir 6.901 4.831 18.231
Br 5.489 1.242 -4.197
Br 8.332 2.298 -7.146
Br 4.341 3.916 -12.651
Br 9.583 0.053 1.478
Br 7.158 4.874 -15.578
Br 5.693 -5.261 21.283
Br 3.373 -0.216 4.188
Br 4.341 -2.466 12.651
Br 1.766 2.490 -4.201
Br 6.980 -1.408 9.953
Br 5.657 1.150 1.308
Br 9.357 -0.182 7.156
Br 4.433 4.085 -7.146
Br 6.980 4.975 -9.953
Br 8.166 2.594 -1.390
Br 4.616 -2.490 18.485
Br 3.138 0.009 9.866
Br 7.158 -1.508 15.578
Br 1.945 2.579 1.087
Br 4.599 3.789 -1.390
Br 5.681 1.425 7.142
Br 3.138 6.392 -9.866
Br 8.066 2.415 4.235
Br 7.276 5.140 -4.197
Br 4.437 -2.579 23.773
Br -0.612 1.246 10.257
Br 2.975 -0.182 15.531
Br 5.770 1.246 12.430
Br 0.689 5.261 -1.404
Br 3.373 6.166 -4.188
Br 4.699 3.967 4.235
Br 8.452 2.502 9.939
Br 7.107 5.232 1.308
Br -0.701 1.425 15.545
Br 3.200 0.053 21.209
Br 2.070 2.502 12.747
Br 4.312 3.881 9.939
Br 3.182 6.329 1.478
Br 7.084 4.958 7.142
Br -0.725 1.150 21.379
Br -2.070 3.881 12.747
Br 1.683 2.415 18.452
Br 3.010 0.216 26.874
Br 5.693 1.121 24.091
Br 0.612 5.136 10.257
Br 3.407 6.564 7.156
Br 6.994 5.136 12.430
Br 1.945 8.961 -1.087
Br -0.893 1.242 26.884
Br -1.683 3.967 18.452
Br 3.244 -0.009 32.552
Br 0.701 4.958 15.545
Br 1.783 2.594 24.077
Br 4.437 3.803 21.600
Br -0.776 7.890 7.109
Br 3.244 6.373 12.821
Br 1.766 8.872 4.201
Br -1.783 3.789 24.077
Br -0.598 1.408 32.640
Br 1.949 2.298 29.833
Br -2.975 6.564 15.531
Br 0.725 5.232 21.379
Br -0.598 7.790 12.733
Br 4.616 3.892 26.888
Br 2.041 8.848 10.035
Br 3.010 6.598 18.499
Br 0.689 11.643 1.404
Br -0.776 1.508 38.264
Br -3.200 6.329 21.209
Br 2.041 2.466 35.338
Br -1.949 4.085 29.833
Br 0.893 5.140 26.884



[3]
31
Lattice="3.538 0.000 0.000 -0.002 7.548 0.000 -0.007 -0.014 13.088" Properties=species:S:1:pos:R:3 comment="Zr4B15Ir12 | Materials Project | meta-GGA r2SCAN | optimized geometry" delta_e_f_ev_per_atom=-0.593 pbc="T T T"
Zr 0.871 3.765 2.151
Zr 0.875 -0.006 8.756
Zr 2.655 7.541 4.332
Zr 2.659 3.770 10.937
B 0.000 0.000 0.000
B -0.004 3.767 6.544
B 0.879 6.965 6.216
B 0.900 1.888 3.917
B 0.902 2.451 9.490
B 0.928 6.236 2.907
B 0.930 5.668 10.518
B 0.961 3.161 12.767
B 1.765 3.767 6.544
B 2.569 4.374 0.320
B 2.600 1.866 2.569
B 2.602 1.299 10.181
B 2.628 5.084 3.598
B 2.630 5.647 9.171
B 2.651 0.570 6.872
Ir 0.808 5.346 12.624
Ir 0.838 0.680 2.137
Ir 0.840 1.502 11.414
Ir 0.871 5.287 4.879
Ir 0.873 4.448 8.701
Ir 0.886 1.563 6.046
Ir 2.644 5.972 7.041
Ir 2.657 3.087 4.387
Ir 2.659 2.248 8.209
Ir 2.690 6.033 1.674
Ir 2.692 6.855 10.951
Ir 2.722 2.189 0.464



[4]
12
Lattice="5.539 0.000 0.000 0.000 2.948 0.000 0.000 0.000 10.093" Properties=species:S:1:pos:R:3 comment="Re2P | Materials Project | meta-GGA r2SCAN | optimized geometry" delta_e_f_ev_per_atom=-0.294 pbc="T T T"
Re 0.819 0.737 2.146
Re 0.969 0.737 9.441
Re 1.801 2.211 4.395
Re 1.950 2.211 7.193
Re 3.588 0.737 2.900
Re 3.738 0.737 5.699
Re 4.570 2.211 0.652
Re 4.719 2.211 7.947
P 0.542 0.737 6.077
P 2.227 2.211 1.030
P 3.311 0.737 9.063
P 4.997 2.211 4.016



[5]
32
Lattice="8.090 0.000 0.000 0.000 5.688 0.000 -3.772 0.000 11.314" Properties=species:S:1:pos:R:3 comment="Sr2UO5 | Materials Project | meta-GGA r2SCAN | optimized geometry" delta_e_f_ev_per_atom=-3.433 pbc="T T T"
Sr 0.065 0.384 3.607
Sr -1.821 2.460 9.264
Sr 0.336 0.001 7.216
Sr 2.221 2.843 1.559
Sr 3.983 5.687 4.098
Sr 2.097 2.845 9.755
Sr 6.139 3.228 2.050
Sr 4.254 5.304 7.707
U 0.000 0.000 0.000
U -1.886 2.844 5.657
U 4.045 0.000 0.000
U 2.159 2.844 5.657
O -2.185 1.369 7.027
O -0.300 1.475 1.370
O -1.546 4.035 7.257
O 0.339 4.496 1.600
O -1.738 0.866 11.295
O 0.148 1.978 5.638
O -0.293 3.990 10.472
O 1.592 4.542 4.815
O 0.454 0.967 9.453
O 2.340 1.877 3.796
O 1.978 3.810 7.518
O 3.864 4.721 1.861
O 2.726 1.146 6.499
O 4.612 1.698 0.842
O 4.170 3.710 5.676
O 6.056 4.822 0.019
O 3.979 1.192 9.714
O 5.865 1.652 4.057
O 4.618 4.212 9.944
O 6.504 4.319 4.287



[6]
4
Lattice="0.000 3.643 3.643 3.643 0.000 3.643 3.643 3.643 0.000" Properties=species:S:1:pos:R:3 comment="LaTlAu2 | Materials Project | meta-GGA r2SCAN | optimized geometry" delta_e_f_ev_per_atom=-0.675 pbc="T T T"
La 0.000 0.000 0.000
Tl 3.643 3.643 3.643
Au 1.822 1.822 1.822
Au 5.465 5.465 5.465



Let's list total energy in order: -1.950; -1.789; -2.010; -2.810; -1.539; -3.432 Ry/atom.